Entry from Materials Project: a geometry-optimized Mg4Si3 structure (PBE-GGA).

```
14
Lattice="5.399 3.117 2.644 -5.399 3.117 2.644 0.000 -6.235 2.644" Properties=species:S:1:pos:R:3 pbc="T T T"
Mg 0.000 0.000 0.000
Mg -2.930 0.867 2.689
Mg 0.714 -2.971 2.689
Mg -2.216 -2.104 5.244
Mg 0.000 0.000 3.967
Mg 2.216 2.104 2.689
Mg -0.714 2.971 5.244
Mg 2.930 -0.867 5.244
Si -1.552 -1.437 2.137
Si -0.469 2.063 2.137
Si 2.021 -0.625 2.137
Si -2.021 0.625 5.796
Si 0.469 -2.063 5.796
Si 1.552 1.437 5.796
```

## Properties
Energy relative to the elements, eV per atom: 0.03
Offset from the most stable computed form, eV per atom: 0.0243
Total moment, μB per cell: 0.0



Entry from Materials Project: a geometry-optimized Mg3Si4 structure (PBE-GGA).

```
14
Lattice="5.684 0.000 0.000 -2.461 6.768 0.000 -1.578 -3.006 6.693" Properties=species:S:1:pos:R:3 pbc="T T T"
Mg 0.000 0.000 0.000
Mg -1.742 -0.040 5.670
Mg -0.547 2.695 4.209
Mg 1.172 -1.712 6.584
Mg 1.616 3.520 1.982
Mg 3.956 -0.160 2.660
Si -3.102 4.535 4.277
Si -0.880 2.219 1.550
Si -1.125 4.637 1.349
Si 1.084 0.816 2.473
Si 1.576 -1.321 3.683
Si 0.824 5.417 0.162
Si 1.237 1.022 6.207
Si 2.417 1.941 4.233
```

## Properties
Energy relative to the elements, eV per atom: 0.16
Offset from the most stable computed form, eV per atom: 0.0658
Total moment, μB per cell: 0.0



Entry from Materials Project: a geometry-optimized Mg2Si3 structure (PBE-GGA).

```
20
Lattice="5.719 -1.790 0.000 5.719 1.790 0.000 -0.571 0.000 17.804" Properties=species:S:1:pos:R:3 pbc="T T T"
Mg 0.068 0.000 5.368
Mg 2.050 0.000 0.987
Mg 3.656 0.000 3.630
Mg 3.583 0.000 9.820
Mg 7.284 0.000 7.984
Mg 7.210 0.000 14.174
Mg 8.817 0.000 16.817
Mg 10.799 0.000 12.436
Si -0.328 0.000 15.268
Si 0.520 0.000 9.821
Si 2.847 0.000 12.371
Si 3.762 0.000 6.398
Si 3.719 0.000 14.650
Si 4.852 0.000 0.888
Si 6.014 0.000 16.916
Si 7.148 0.000 3.154
Si 7.105 0.000 11.407
Si 8.020 0.000 5.434
Si 10.347 0.000 7.983
Si 11.195 0.000 2.536
```

## Properties
Energy relative to the elements, eV per atom: 0.14
Offset from the most stable computed form, eV per atom: 0.0643
Total moment, μB per cell: 0.0